VASP calculation (PBE-GGA) on a relaxed structure of Na5HfGa3Si3S3O24. Values from VASP.

```
&SYSTEM
  ibrav = 0, nat = 117, ntyp = 6
/
ATOMIC_SPECIES
Na 22.99 Na.upf
Hf 178.49 Hf.upf
Ga 69.72 Ga.upf
Si 28.09 Si.upf
S 32.06 S.upf
O 16.00 O.upf
ATOMIC_POSITIONS crystal
Na 0.0000 0.0000 0.0000
Na 0.9996 0.0150 0.5006
Na 0.3027 0.0541 0.5823
Na 0.3108 0.6722 0.0866
Na 0.3171 0.3621 0.1679
Na 0.3190 0.3511 0.6690
Na 0.3621 0.7018 0.4090
Na 0.3618 0.9659 0.9089
Na 0.6370 0.3847 0.2447
Na 0.6591 0.7003 0.3284
Na 0.6676 0.6969 0.8300
Na 0.6797 0.3144 0.5756
Na 0.6901 0.0343 0.0756
Na 0.6964 0.3488 0.9204
Na 0.9783 0.3385 0.4226
Hf 0.0194 0.0081 0.3505
Hf 0.0237 0.9929 0.8480
Hf 0.3441 0.3537 0.0194
Ga 0.0105 0.9913 0.1429
Ga 0.0210 0.0344 0.6517
Ga 0.3345 0.3346 0.5131
Ga 0.3596 0.3443 0.3150
Ga 0.3689 0.3160 0.8144
Ga 0.6710 0.6659 0.1789
Ga 0.6725 0.6685 0.4777
Ga 0.6842 0.6800 0.6840
Ga 0.6906 0.6704 0.9792
Si 0.3100 0.7105 0.2448
Si 0.3239 0.0106 0.7448
Si 0.3514 0.6281 0.9103
Si 0.3578 0.0509 0.4147
Si 0.6318 0.3415 0.4177
Si 0.6411 0.0392 0.9162
Si 0.6930 0.3777 0.0820
Si 0.9579 0.6734 0.0842
Si 0.9666 0.3965 0.5814
S 0.0125 0.7177 0.7423
S 0.0164 0.3043 0.2457
S 0.0535 0.3478 0.9108
S 0.0531 0.6307 0.4146
S 0.3794 0.6773 0.5816
S 0.3828 0.9660 0.0815
S 0.6846 0.9634 0.5811
S 0.7156 0.0067 0.2464
S 0.7160 0.3064 0.7450
O 0.0276 0.8134 0.6889
O 0.0327 0.1886 0.9058
O 0.0339 0.1971 0.1937
O 0.0354 0.8068 0.4083
O 0.1302 0.5249 0.3605
O 0.1348 0.3718 0.8567
O 0.1541 0.5017 0.0802
O 0.1604 0.3132 0.9655
O 0.1634 0.5578 0.4685
O 0.1674 0.3635 0.5759
O 0.1684 0.5488 0.7479
O 0.1716 0.3211 0.2523
O 0.1850 0.0207 0.4078
O 0.1846 0.8285 0.9081
O 0.1921 0.8071 0.1859
O 0.2039 0.8336 0.5871
O 0.2070 0.0396 0.6836
O 0.2083 0.9852 0.0879
O 0.2186 0.8228 0.3063
O 0.2249 0.9820 0.8039
O 0.2978 0.1698 0.4756
O 0.3132 0.5550 0.9737
O 0.3293 0.1917 0.7522
O 0.3335 0.5124 0.2516
O 0.3655 0.1408 0.0760
O 0.3675 0.5174 0.5762
O 0.3715 0.1519 0.3555
O 0.3779 0.5003 0.8546
O 0.4523 0.7142 0.5249
O 0.4563 0.8628 0.0261
O 0.4932 0.6496 0.6333
O 0.4943 0.8883 0.1347
O 0.5069 0.6900 0.2415
O 0.5108 0.1217 0.8592
O 0.5120 0.8307 0.7378
O 0.5144 0.3883 0.3569
O 0.5174 0.3515 0.0776
O 0.5252 0.8552 0.4229
O 0.5256 0.6460 0.9165
O 0.5268 0.1423 0.5778
O 0.5355 0.3246 0.4788
O 0.5419 0.3250 0.7486
O 0.5432 0.1676 0.2510
O 0.5515 0.1604 0.9759
O 0.6345 0.5020 0.1409
O 0.6490 0.8855 0.6349
O 0.6593 0.8482 0.9218
O 0.6607 0.5128 0.4204
O 0.6995 0.8514 0.2441
O 0.7059 0.8624 0.5262
O 0.7068 0.4764 0.7409
O 0.7117 0.4665 0.0195
O 0.7945 0.0386 0.1912
O 0.7975 0.1980 0.6898
O 0.8222 0.2164 0.7988
O 0.8233 0.0445 0.9072
O 0.8238 0.9913 0.2997
O 0.8277 0.1709 0.4113
O 0.8343 0.7215 0.0255
O 0.8394 0.9853 0.5874
O 0.8481 0.4744 0.5201
O 0.8544 0.7008 0.7409
O 0.8550 0.4751 0.2449
O 0.8610 0.1830 0.0906
O 0.8633 0.6588 0.1450
O 0.8665 0.5138 0.6391
O 0.8780 0.4978 0.9164
O 0.8791 0.6505 0.4213
O 0.9836 0.1965 0.5864
O 0.9869 0.8242 0.7979
O 0.9891 0.2201 0.3025
O 0.9931 0.8419 0.0856
CELL_PARAMETERS angstrom
8.8743 0.0000 0.0000
4.3924 7.7141 0.0000
0.2910 0.2076 22.2306
```

Calculated values
Magnetic moment in μB per formula unit: 0.00
E_form in meV per atom: -2465

***

VASP calculation (PBE-GGA) on a relaxed structure of Na14Hf4Ga4Si9S3O48. Values from VASP.

```
&SYSTEM
  ibrav = 0, nat = 246, ntyp = 6
/
ATOMIC_SPECIES
Na 22.99 Na.upf
Hf 178.49 Hf.upf
Ga 69.72 Ga.upf
Si 28.09 Si.upf
S 32.06 S.upf
O 16.00 O.upf
ATOMIC_POSITIONS crystal
Na 0.0000 0.0000 0.0000
Na 0.9995 0.3427 0.3443
Na 0.0307 0.3563 0.6678
Na 0.0461 0.6952 0.0074
Na 0.0528 0.0230 0.3427
Na 0.1728 0.1858 0.7542
Na 0.1738 0.5286 0.5848
Na 0.1744 0.8656 0.4207
Na 0.1824 0.1868 0.2590
Na 0.1837 0.5330 0.0846
Na 0.1840 0.8616 0.9205
Na 0.3048 0.0169 0.8379
Na 0.3224 0.6884 0.5073
Na 0.3246 0.3580 0.1716
Na 0.3564 0.0392 0.1734
Na 0.3600 0.3437 0.8387
Na 0.3614 0.0113 0.5042
Na 0.3690 0.3736 0.5027
Na 0.3743 0.7116 0.8346
Na 0.4820 0.2087 0.3393
Na 0.4901 0.8732 0.9997
Na 0.4980 0.5160 0.0002
Na 0.4994 0.8441 0.3421
Na 0.5021 0.5424 0.6714
Na 0.5370 0.1861 0.0013
Na 0.5426 0.8581 0.6719
Na 0.5525 0.5214 0.3438
Na 0.6742 0.3610 0.4255
Na 0.6797 0.0270 0.5888
Na 0.6817 0.6927 0.7551
Na 0.6849 0.0266 0.0834
Na 0.6854 0.6883 0.2555
Na 0.6864 0.3652 0.9159
Na 0.8050 0.5238 0.8396
Na 0.8121 0.1939 0.5102
Na 0.8276 0.8562 0.1677
Na 0.8570 0.5013 0.5036
Na 0.8587 0.5475 0.1729
Na 0.8613 0.8438 0.8356
Na 0.8686 0.2060 0.8297
Na 0.9875 0.7084 0.3331
Na 0.9972 0.0404 0.6716
Hf 0.1772 0.1884 0.6047
Hf 0.1781 0.5243 0.7344
Hf 0.1775 0.5278 0.2353
Hf 0.1811 0.5165 0.9419
Hf 0.1807 0.8617 0.5695
Hf 0.1925 0.1872 0.1062
Hf 0.6684 0.3599 0.0660
Hf 0.6723 0.6924 0.6100
Hf 0.6765 0.0155 0.4431
Hf 0.6798 0.0234 0.2345
Hf 0.6807 0.6892 0.1043
Hf 0.6873 0.0231 0.7329
Ga 0.1542 0.8691 0.2707
Ga 0.1615 0.8551 0.0636
Ga 0.1791 0.1874 0.9025
Ga 0.1819 0.5051 0.4386
Ga 0.1852 0.8656 0.7674
Ga 0.1963 0.1925 0.4091
Ga 0.6540 0.3683 0.2736
Ga 0.6607 0.6933 0.9073
Ga 0.6758 0.0035 0.9364
Ga 0.6830 0.6879 0.4052
Ga 0.6974 0.3551 0.5639
Ga 0.7034 0.3681 0.7705
Si 0.0322 0.3725 0.8368
Si 0.0335 0.0028 0.1681
Si 0.0349 0.0453 0.4992
Si 0.0352 0.3365 0.5013
Si 0.0408 0.7162 0.1704
Si 0.3165 0.7121 0.6717
Si 0.3200 0.3325 0.0020
Si 0.3239 0.3740 0.3368
Si 0.3265 0.0080 0.6731
Si 0.3326 0.0424 0.9998
Si 0.3768 0.0225 0.3354
Si 0.3818 0.6953 0.0038
Si 0.4762 0.1951 0.5035
Si 0.4817 0.5228 0.8364
Si 0.5277 0.5443 0.5007
Si 0.5278 0.8734 0.8367
Si 0.5314 0.5076 0.1726
Si 0.5320 0.8318 0.5010
Si 0.5416 0.2127 0.1725
Si 0.8179 0.2168 0.6704
Si 0.8229 0.8363 0.0014
Si 0.8241 0.5011 0.6683
Si 0.8252 0.5456 0.0003
Si 0.8264 0.8726 0.3368
Si 0.8840 0.5230 0.3397
Si 0.8959 0.8543 0.6749
Si 0.9741 0.0249 0.8418
S 0.0333 0.6706 0.8385
S 0.3253 0.6715 0.3393
S 0.3924 0.3566 0.6718
S 0.4662 0.8562 0.1718
S 0.5335 0.1704 0.8392
S 0.8248 0.1722 0.3369
S 0.8891 0.1921 0.0026
S 0.9667 0.3559 0.1724
S 0.9709 0.6909 0.5015
O 0.0025 0.2093 0.6670
O 0.0031 0.8468 0.0049
O 0.0053 0.5058 0.6759
O 0.0046 0.5420 0.9970
O 0.0074 0.8635 0.3332
O 0.0576 0.4402 0.8918
O 0.0601 0.1029 0.5604
O 0.0615 0.4353 0.1753
O 0.0623 0.9427 0.1097
O 0.0629 0.2760 0.4421
O 0.0650 0.6144 0.7852
O 0.0658 0.6138 0.4975
O 0.0679 0.2821 0.1655
O 0.0678 0.7671 0.5071
O 0.0714 0.7731 0.2315
O 0.0736 0.9377 0.8360
O 0.0804 0.1115 0.8458
O 0.0983 0.6289 0.8921
O 0.0999 0.6158 0.1756
O 0.1036 0.7546 0.8342
O 0.1065 0.7571 0.1099
O 0.1066 0.0988 0.1625
O 0.1082 0.4171 0.7779
O 0.1094 0.4332 0.4996
O 0.1119 0.2961 0.5612
O 0.1125 0.0899 0.4413
O 0.1128 0.2795 0.8446
O 0.1145 0.9518 0.5052
O 0.1148 0.9685 0.2290
O 0.2415 0.2812 0.3412
O 0.2445 0.1005 0.6671
O 0.2463 0.0879 0.9443
O 0.2469 0.9675 0.7315
O 0.2505 0.4211 0.2778
O 0.2531 0.2931 0.0633
O 0.2530 0.7537 0.6100
O 0.2554 0.6128 0.6751
O 0.2582 0.6330 0.3924
O 0.2581 0.9491 0.0100
O 0.2608 0.4310 0.0000
O 0.2612 0.7572 0.3314
O 0.2730 0.1079 0.3408
O 0.2777 0.6099 0.9971
O 0.2815 0.7808 0.0120
O 0.2819 0.9322 0.3286
O 0.2890 0.2829 0.6671
O 0.2926 0.7718 0.7306
O 0.2944 0.4358 0.6763
O 0.2943 0.6153 0.2854
O 0.2949 0.2716 0.9438
O 0.3013 0.9476 0.6127
O 0.3064 0.1044 0.0603
O 0.3095 0.4383 0.3943
O 0.3437 0.5405 0.4939
O 0.3470 0.8629 0.8307
O 0.3510 0.5086 0.1767
O 0.3506 0.8403 0.5044
O 0.3563 0.2068 0.1681
O 0.3635 0.1736 0.5580
O 0.3686 0.1773 0.8413
O 0.3707 0.5390 0.7790
O 0.3738 0.5068 0.8946
O 0.3787 0.8708 0.1176
O 0.3798 0.8462 0.2265
O 0.3822 0.2143 0.4421
O 0.4773 0.7132 0.9435
O 0.4792 0.3711 0.6176
O 0.4797 0.3464 0.7267
O 0.4864 0.0072 0.3930
O 0.4863 0.0394 0.2776
O 0.4891 0.6766 0.3403
O 0.4935 0.6726 0.0592
O 0.4998 0.7027 0.6675
O 0.5040 0.3400 0.0065
O 0.5055 0.0123 0.6777
O 0.5058 0.3641 0.3334
O 0.5154 0.0399 0.9947
O 0.5418 0.9356 0.8964
O 0.5552 0.6057 0.5597
O 0.5614 0.4459 0.1134
O 0.5624 0.7730 0.4414
O 0.5632 0.1154 0.7864
O 0.5644 0.9356 0.1761
O 0.5705 0.2737 0.2310
O 0.5702 0.7827 0.1673
O 0.5770 0.2808 0.5113
O 0.5768 0.4326 0.8295
O 0.5803 0.1100 0.4960
O 0.5855 0.6083 0.8417
O 0.5970 0.2572 0.8328
O 0.5970 0.9300 0.4990
O 0.5991 0.1135 0.1753
O 0.5993 0.1332 0.8939
O 0.6002 0.4493 0.5090
O 0.6025 0.7909 0.5610
O 0.6069 0.2553 0.1116
O 0.6078 0.9221 0.7806
O 0.6111 0.6003 0.1676
O 0.6116 0.5864 0.4424
O 0.6136 0.4660 0.2305
O 0.6146 0.7812 0.8425
O 0.7432 0.5885 0.9431
O 0.7450 0.4670 0.7296
O 0.7474 0.7788 0.3441
O 0.7474 0.7962 0.0622
O 0.7484 0.9329 0.9996
O 0.7486 0.4506 0.0087
O 0.7496 0.5951 0.6618
O 0.7507 0.9168 0.2770
O 0.7524 0.2579 0.6095
O 0.7574 0.1185 0.6762
O 0.7577 0.1332 0.3904
O 0.7580 0.2575 0.3300
O 0.7780 0.6087 0.3443
O 0.7809 0.7746 0.6675
O 0.7860 0.4336 0.3314
O 0.7903 0.2746 0.7314
O 0.7910 0.9415 0.6772
O 0.7926 0.1152 0.2838
O 0.7931 0.1160 0.0000
O 0.7927 0.2690 0.0096
O 0.7958 0.7739 0.9436
O 0.7986 0.4407 0.6095
O 0.7990 0.6020 0.0623
O 0.8008 0.9413 0.3907
O 0.8512 0.3635 0.8337
O 0.8525 0.0074 0.1756
O 0.8552 0.0426 0.4952
O 0.8550 0.3465 0.5039
O 0.8565 0.7076 0.1680
O 0.8639 0.0126 0.9001
O 0.8710 0.0457 0.7829
O 0.8713 0.6767 0.8406
O 0.8733 0.3683 0.1189
O 0.8737 0.6787 0.5537
O 0.8810 0.3453 0.2271
O 0.8840 0.7037 0.4457
O 0.9752 0.2054 0.9478
O 0.9867 0.1782 0.3391
O 0.9873 0.1810 0.0557
O 0.9868 0.5414 0.2799
O 0.9930 0.8424 0.7354
O 0.9953 0.5090 0.3971
O 0.9982 0.8732 0.6164
CELL_PARAMETERS angstrom
9.0491 0.0000 0.0000
-0.0074 15.6596 0.0000
-0.0921 -0.2216 22.3340
```

Calculated values
Magnetic moment in μB per formula unit: 0.00
E_form in meV per atom: -2760

***

VASP calculation (PBE-GGA) on a relaxed structure of Hf3Nb2Ga3. Values from VASP.

```
&SYSTEM
  ibrav = 0, nat = 16, ntyp = 3
/
ATOMIC_SPECIES
Hf 178.49 Hf.upf
Nb 92.91 Nb.upf
Ga 69.72 Ga.upf
ATOMIC_POSITIONS crystal
Hf 0.0000 0.2460 0.2500
Hf 0.0000 0.7540 0.7500
Hf 0.2460 0.0000 0.2500
Hf 0.2460 0.2460 0.7500
Hf 0.7540 0.0000 0.7500
Hf 0.7540 0.7540 0.2500
Nb 0.3333 0.6667 0.0000
Nb 0.3333 0.6667 0.5000
Nb 0.6667 0.3333 0.0000
Nb 0.6667 0.3333 0.5000
Ga 0.0000 0.3963 0.7500
Ga 0.0000 0.6037 0.2500
Ga 0.3963 0.0000 0.7500
Ga 0.3963 0.3963 0.2500
Ga 0.6037 0.0000 0.2500
Ga 0.6037 0.6037 0.7500
CELL_PARAMETERS angstrom
7.9427 0.0000 0.0000
-3.9713 6.8786 0.0000
0.0000 0.0000 5.4689
```

Calculated values
E_form in meV per atom: -458

***

VASP calculation (PBE-GGA) on a relaxed structure of HfGa3Ni12. Values from VASP.

```
&SYSTEM
  ibrav = 0, nat = 16, ntyp = 3
/
ATOMIC_SPECIES
Hf 178.49 Hf.upf
Ga 69.72 Ga.upf
Ni 58.69 Ni.upf
ATOMIC_POSITIONS crystal
Hf 0.0000 0.0000 0.0000
Ga 0.0000 0.0000 0.2554
Ga 0.0000 0.0000 0.5000
Ga 0.0000 0.0000 0.7446
Ni 0.0000 0.5000 0.1330
Ni 0.0000 0.5000 0.3772
Ni 0.0000 0.5000 0.6228
Ni 0.0000 0.5000 0.8670
Ni 0.5000 0.0000 0.1330
Ni 0.5000 0.0000 0.3772
Ni 0.5000 0.0000 0.6228
Ni 0.5000 0.0000 0.8670
Ni 0.5000 0.5000 0.0000
Ni 0.5000 0.5000 0.2554
Ni 0.5000 0.5000 0.5000
Ni 0.5000 0.5000 0.7446
CELL_PARAMETERS angstrom
3.6308 0.0000 0.0000
0.0000 3.6308 0.0000
0.0000 0.0000 14.2843
```

Calculated values
E_form in meV per atom: -352

***

Q: Which value of E_form does entry 1 give?
A: -2465 meV per atom